The following is a DFT calculation (PBE-GGA) of a geometry-optimized Ce3Gd structure.

Computed properties:
As for the formation energy: 34 kJ/mol of formula units. As for the theoretical density: 8.45 g/cm3.

```
data_Ce3Gd
_chemical_formula_sum 'Ce3 Gd1'
_symmetry_space_group_name_H-M 'P 1'
_symmetry_Int_Tables_number 1
_cell_length_a 4.842
_cell_length_b 4.842
_cell_length_c 4.842
_cell_angle_alpha 90.00
_cell_angle_beta 90.00
_cell_angle_gamma 90.00
loop_
_symmetry_equiv_pos_as_xyz
'x,y,z'
loop_
_atom_site_label
_atom_site_fract_x
_atom_site_fract_y
_atom_site_fract_z
Ce1 0.000 0.500 0.500
Ce2 0.500 0.000 0.500
Ce3 0.500 0.500 0.000
Gd1 0.000 0.000 0.000
```